# 1
LuTl | the Materials Project database | PBE-GGA | optimized geometry; SG = P4/mmm; total energy = -7.40 eV/cell; calculated density = 12.09 Mg/m³
1.0
-1.644 -2.885 1.121
2.701 -0.716 2.116
-1.830 2.246 3.097
Lu Tl
1 1
direct
0.000 0.000 0.000
0.500 0.500 0.500

***

# 2
Lu3Tl5 | the Materials Project database | PBE-GGA | optimized geometry; SG = Cmcm; total energy = -53.63 eV/cell; calculated density = 12.07 Mg/m³
1.0
5.092 3.925 0.000
-5.092 3.925 0.000
0.000 0.000 10.650
Lu Tl
6 10
direct
0.605 0.605 0.250
0.395 0.395 0.750
0.789 0.211 0.500
0.789 0.211 0.000
0.211 0.789 0.500
0.211 0.789 0.000
0.998 0.998 0.250
0.002 0.002 0.750
0.296 0.296 0.039
0.704 0.704 0.961
0.296 0.296 0.461
0.704 0.704 0.539
0.059 0.516 0.250
0.484 0.941 0.750
0.941 0.484 0.750
0.516 0.059 0.250

***

# 3
LuTl3 | the Materials Project database | PBE-GGA | optimized geometry; SG = Pm-3m; total energy = -12.18 eV/cell; calculated density = 12.16 Mg/m³
1.0
4.757 0.000 0.000
0.000 4.757 0.000
0.000 0.000 4.757
Lu Tl
1 3
direct
0.000 0.000 0.000
0.000 0.500 0.500
0.500 0.500 0.000
0.500 0.000 0.500